The following is a PBE calculation of a geometry-optimized AlPO4 structure, from the Materials Project.

Cell and atoms, written as POSCAR:
```
AlPO4
1.0
0.037 0.000 -17.006
-9.363 -16.230 0.020
-9.363 16.230 0.020
Al P O
36 36 144
direct
0.872 0.002 0.577
0.872 0.577 0.002
0.866 0.433 0.433
0.903 0.170 0.506
0.903 0.506 0.170
0.626 0.000 0.413
0.626 0.413 0.000
0.644 0.168 0.658
0.644 0.658 0.168
0.648 0.329 0.507
0.648 0.507 0.329
0.404 0.010 0.590
0.404 0.590 0.010
0.409 0.426 0.426
0.372 0.180 0.504
0.372 0.504 0.180
0.152 0.002 0.425
0.152 0.425 0.002
0.136 0.171 0.669
0.136 0.669 0.171
0.127 0.343 0.503
0.127 0.503 0.343
0.886 0.833 0.337
0.886 0.337 0.833
0.898 0.668 0.504
0.898 0.504 0.668
0.644 0.818 0.490
0.644 0.490 0.818
0.391 0.826 0.338
0.391 0.338 0.826
0.375 0.672 0.496
0.375 0.496 0.672
0.132 0.841 0.505
0.132 0.505 0.841
0.621 0.586 0.586
0.160 0.578 0.578
0.812 0.005 0.418
0.812 0.418 0.005
0.828 0.179 0.666
0.828 0.666 0.179
0.836 0.332 0.510
0.836 0.510 0.332
0.561 0.174 0.504
0.561 0.504 0.174
0.593 0.995 0.583
0.593 0.583 0.995
0.596 0.413 0.413
0.341 0.001 0.422
0.341 0.422 0.001
0.321 0.176 0.670
0.321 0.670 0.176
0.310 0.342 0.504
0.310 0.504 0.342
0.092 0.174 0.504
0.092 0.504 0.174
0.061 0.008 0.580
0.061 0.580 0.008
0.050 0.435 0.435
0.831 0.824 0.500
0.831 0.500 0.824
0.578 0.818 0.326
0.578 0.326 0.818
0.561 0.663 0.486
0.561 0.486 0.663
0.323 0.844 0.510
0.323 0.510 0.844
0.077 0.833 0.334
0.077 0.334 0.833
0.087 0.674 0.507
0.087 0.507 0.674
0.804 0.590 0.590
0.344 0.582 0.582
0.849 0.098 0.664
0.849 0.664 0.098
0.848 0.342 0.434
0.848 0.434 0.342
0.973 0.999 0.558
0.973 0.558 0.999
0.965 0.462 0.462
0.814 0.003 0.499
0.814 0.499 0.003
0.804 0.508 0.508
0.856 0.081 0.428
0.856 0.428 0.081
0.881 0.191 0.607
0.881 0.607 0.191
0.872 0.405 0.588
0.872 0.588 0.405
0.878 0.253 0.494
0.878 0.494 0.253
0.840 0.250 0.754
0.840 0.754 0.250
0.004 0.152 0.496
0.004 0.496 0.152
0.574 0.087 0.429
0.574 0.429 0.087
0.725 0.009 0.395
0.725 0.395 0.009
0.611 0.995 0.503
0.611 0.503 0.995
0.613 0.493 0.493
0.631 0.073 0.655
0.631 0.655 0.073
0.632 0.341 0.419
0.632 0.419 0.341
0.587 0.176 0.584
0.587 0.584 0.176
0.608 0.236 0.491
0.608 0.491 0.236
0.742 0.179 0.640
0.742 0.640 0.179
0.748 0.326 0.525
0.748 0.525 0.326
0.377 0.110 0.667
0.377 0.667 0.110
0.366 0.352 0.445
0.366 0.445 0.352
0.504 0.996 0.597
0.504 0.597 0.996
0.507 0.398 0.398
0.384 0.013 0.499
0.384 0.499 0.013
0.353 0.080 0.417
0.353 0.417 0.080
0.335 0.189 0.596
0.335 0.596 0.189
0.323 0.409 0.595
0.323 0.595 0.409
0.325 0.256 0.493
0.325 0.493 0.256
0.335 0.257 0.750
0.335 0.750 0.257
0.474 0.197 0.511
0.474 0.511 0.197
0.137 0.100 0.435
0.137 0.435 0.100
0.253 0.985 0.425
0.253 0.425 0.985
0.110 0.012 0.514
0.110 0.514 0.012
0.106 0.499 0.499
0.077 0.089 0.662
0.077 0.662 0.089
0.066 0.352 0.431
0.066 0.431 0.352
0.121 0.195 0.591
0.121 0.591 0.195
0.105 0.248 0.493
0.105 0.493 0.248
0.236 0.147 0.667
0.236 0.667 0.147
0.225 0.346 0.479
0.225 0.479 0.346
0.842 0.912 0.576
0.842 0.576 0.912
0.851 0.926 0.349
0.851 0.349 0.926
0.847 0.657 0.580
0.847 0.580 0.657
0.862 0.823 0.422
0.862 0.422 0.823
0.879 0.764 0.515
0.879 0.515 0.764
0.988 0.826 0.323
0.988 0.323 0.826
0.999 0.664 0.520
0.999 0.520 0.664
0.588 0.905 0.336
0.588 0.336 0.905
0.576 0.658 0.565
0.576 0.565 0.658
0.628 0.916 0.577
0.628 0.577 0.916
0.619 0.812 0.396
0.619 0.396 0.812
0.607 0.595 0.413
0.607 0.413 0.595
0.588 0.747 0.502
0.588 0.502 0.747
0.616 0.757 0.244
0.616 0.244 0.757
0.745 0.798 0.488
0.745 0.488 0.798
0.353 0.926 0.584
0.353 0.584 0.926
0.377 0.924 0.347
0.377 0.347 0.924
0.358 0.665 0.586
0.358 0.586 0.665
0.360 0.830 0.430
0.360 0.430 0.830
0.347 0.772 0.524
0.347 0.524 0.772
0.490 0.798 0.324
0.490 0.324 0.798
0.473 0.652 0.465
0.473 0.465 0.652
0.106 0.916 0.343
0.106 0.343 0.916
0.135 0.667 0.574
0.135 0.574 0.667
0.088 0.932 0.585
0.088 0.585 0.932
0.100 0.827 0.410
0.100 0.410 0.827
0.112 0.607 0.420
0.112 0.420 0.607
0.103 0.759 0.518
0.103 0.518 0.759
0.116 0.764 0.258
0.116 0.258 0.764
0.234 0.847 0.506
0.234 0.506 0.847
0.719 0.616 0.616
0.403 0.520 0.520
0.259 0.553 0.553
```

Results
energy: -7.457 eV per atom
space group: Cm (8)
ΔE_f: -3090.4 meV per atom
magnetic moment: 0.0 Bohr magnetons per cell
ρ: 1.4 g cm⁻³